# 1
This record from the Materials Project database describes an optimized crystal structure of CsRb2AlBr6. The functional is PBE-GGA.

Output
size of the total moment = 0.002 μB per cell
E_tot = -3.098 eV/atom

Cell lengths 11.801, 11.801, 11.801 Å; angles 90.00, 90.00, 90.00 degrees
Space group Fm-3m (No. 225)
Symmetry-distinct sites (fractional):
1 Cs 0.000 0.000 0.000 (multiplicity 4)
2 Rb 0.250 0.250 0.250 (multiplicity 8)
3 Al 0.000 0.000 0.500 (multiplicity 4)
4 Br 0.000 0.000 0.286 (multiplicity 24)


# 2
This record from the Materials Project database describes an optimized crystal structure of KB21H18. The functional is PBE-GGA.

Output
E_tot = -5.246 eV/atom

Cell lengths 13.381, 7.604, 17.547 Å; angles 90.00, 94.68, 90.00 degrees
Space group C2 (No. 5)
Symmetry-distinct sites (fractional):
1 K 0.000 0.000 0.000 (multiplicity 2)
2 K 0.000 0.204 0.500 (multiplicity 2)
3 B 0.028 0.749 0.712 (multiplicity 4)
4 B 0.043 0.771 0.615 (multiplicity 4)
5 B 0.056 0.558 0.659 (multiplicity 4)
6 B 0.077 0.701 0.837 (multiplicity 4)
7 B 0.101 0.929 0.680 (multiplicity 4)
8 B 0.122 0.582 0.751 (multiplicity 4)
9 B 0.127 0.483 0.844 (multiplicity 4)
10 B 0.135 0.626 0.587 (multiplicity 4)
11 B 0.151 0.816 0.764 (multiplicity 4)
12 B 0.162 0.648 0.914 (multiplicity 4)
13 B 0.162 0.850 0.600 (multiplicity 4)
14 B 0.173 0.111 0.180 (multiplicity 4)
15 B 0.175 0.852 0.865 (multiplicity 4)
16 B 0.186 0.504 0.665 (multiplicity 4)
17 B 0.217 0.225 0.100 (multiplicity 4)
18 B 0.217 0.333 0.188 (multiplicity 4)
19 B 0.232 0.886 0.687 (multiplicity 4)
20 B 0.233 0.451 0.790 (multiplicity 4)
21 B 0.246 0.002 0.113 (multiplicity 4)
22 B 0.246 0.190 0.366 (multiplicity 4)
23 B 0.247 0.665 0.736 (multiplicity 4)
24 H 0.006 0.445 0.353 (multiplicity 4)
25 H 0.007 0.732 0.151 (multiplicity 4)
26 H 0.031 0.811 0.424 (multiplicity 4)
27 H 0.053 0.768 0.267 (multiplicity 4)
28 H 0.070 0.076 0.682 (multiplicity 4)
29 H 0.075 0.361 0.857 (multiplicity 4)
30 H 0.086 0.079 0.183 (multiplicity 4)
31 H 0.127 0.642 0.975 (multiplicity 4)
32 H 0.131 0.556 0.526 (multiplicity 4)
33 H 0.156 0.992 0.892 (multiplicity 4)
34 H 0.159 0.278 0.050 (multiplicity 4)
35 H 0.162 0.453 0.193 (multiplicity 4)
36 H 0.169 0.170 0.395 (multiplicity 4)
37 H 0.179 0.947 0.548 (multiplicity 4)
38 H 0.208 0.502 0.309 (multiplicity 4)
39 H 0.210 0.888 0.074 (multiplicity 4)
40 H 0.215 0.359 0.654 (multiplicity 4)
41 H 0.245 0.809 0.230 (multiplicity 4)


# 3
This record from the Materials Project database describes an optimized crystal structure of Cs2RbIrF6. The functional is PBE-GGA.

Output
size of the total moment = 0.002 μB per cell
E_tot = -4.568 eV/atom

Cell lengths 9.449, 9.449, 9.449 Å; angles 90.00, 90.00, 90.00 degrees
Space group Fm-3m (No. 225)
Symmetry-distinct sites (fractional):
1 Cs 0.250 0.250 0.250 (multiplicity 8)
2 Rb 0.000 0.000 0.000 (multiplicity 4)
3 Ir 0.000 0.000 0.500 (multiplicity 4)
4 F 0.000 0.000 0.284 (multiplicity 24)


# 4
This record from the Materials Project database describes an optimized crystal structure of LiSnP4O12. The functional is PBE-GGA.

Output
size of the total moment = 3.873 μB per cell
E_tot = -6.874 eV/atom

Cell lengths 13.167, 8.388, 9.944 Å; angles 90.00, 90.00, 90.00 degrees
Space group Pbcn (No. 60)
Symmetry-distinct sites (fractional):
1 Li 0.000 0.010 0.250 (multiplicity 4)
2 Sn 0.000 0.381 0.750 (multiplicity 4)
3 P 0.132 0.170 0.506 (multiplicity 8)
4 P 0.159 0.469 0.007 (multiplicity 8)
5 O 0.062 0.176 0.629 (multiplicity 8)
6 O 0.081 0.446 0.117 (multiplicity 8)
7 O 0.095 0.098 0.380 (multiplicity 8)
8 O 0.140 0.381 0.877 (multiplicity 8)
9 O 0.176 0.346 0.476 (multiplicity 8)
10 O 0.232 0.082 0.565 (multiplicity 8)


# 5
This record from the Materials Project database describes an optimized crystal structure of Nd3Ag4Sn4. The functional is PBE-GGA.

Output
E_tot = -4.342 eV/atom

Cell lengths 4.704, 7.412, 15.638 Å; angles 90.00, 90.00, 90.00 degrees
Space group Immm (No. 71)
Symmetry-distinct sites (fractional):
1 Nd 0.000 0.000 0.000 (multiplicity 2)
2 Nd 0.000 0.500 0.130 (multiplicity 4)
3 Ag 0.000 0.305 0.330 (multiplicity 8)
4 Sn 0.000 0.000 0.215 (multiplicity 4)
5 Sn 0.000 0.194 0.500 (multiplicity 4)


# 6
This record from the Materials Project database describes an optimized crystal structure of SnC8N2Cl6. The functional is PBE-GGA.

Output
size of the total moment = 97.462 μB per cell
E_tot = -4.197 eV/atom

Cell lengths 22.947, 22.947, 22.947 Å; angles 90.00, 90.00, 90.00 degrees
Space group Fd-3c (No. 228, origin choice 2)
Symmetry-distinct sites (fractional):
1 Sn 0.000 0.000 0.000 (multiplicity 32)
2 C 0.066 0.107 0.370 (multiplicity 192)
3 C 0.089 0.089 0.161 (multiplicity 64)
4 N 0.125 0.125 0.125 (multiplicity 16)
5 N 0.125 0.125 0.375 (multiplicity 48)
6 Cl 0.013 0.271 0.856 (multiplicity 192)


# 7
This record from the Materials Project database describes an optimized crystal structure of NaHS. The functional is PBE-GGA.

Output
maximum piezoelectric response = 0.44 C/m²
E_tot = -3.624 eV/atom

Cell lengths 4.4935, 4.4935, 9.0229 Å; angles 90.00, 90.00, 120.00 degrees
Space group R3m (No. 160, hexagonal axes)
Symmetry-distinct sites (fractional):
1 Na 0.0000 0.0000 0.0000 (multiplicity 3)
2 H 0.0000 0.0000 0.6413 (multiplicity 3)
3 S 0.0000 0.0000 0.4912 (multiplicity 3)


# 8
This record from the Materials Project database describes an optimized crystal structure of Rb3H12N5. The functional is PBE-GGA.

Output
E_tot = -4.606 eV/atom

Cell lengths 10.185, 10.185, 10.185 Å; angles 90.00, 90.00, 90.00 degrees
Space group I2_13 (No. 199)
Symmetry-distinct sites (fractional):
1 Rb 0.000 0.250 0.421 (multiplicity 12)
2 H 0.026 0.445 0.193 (multiplicity 24)
3 H 0.120 0.294 0.754 (multiplicity 24)
4 N 0.000 0.250 0.910 (multiplicity 12)
5 N 0.172 0.328 0.672 (multiplicity 8)


# 9
This record from the Materials Project database describes an optimized crystal structure of Sr4LiY2Ru2O12. The functional is PBE-GGA.

Output
size of the total moment = 0.318 μB per cell
E_tot = -7.071 eV/atom

Cell lengths 5.912, 5.936, 8.286 Å; angles 89.65, 89.89, 89.29 degrees
Space group P1 (No. 1)
Symmetry-distinct sites (fractional):
1 Sr 0.000 0.000 0.000 (multiplicity 1)
2 Sr 0.011 0.965 0.518 (multiplicity 1)
3 Sr 0.509 0.520 0.005 (multiplicity 1)
4 Sr 0.619 0.509 0.493 (multiplicity 1)
5 Li 0.226 0.334 0.483 (multiplicity 1)
6 Y 0.040 0.504 0.761 (multiplicity 1)
7 Y 0.533 0.010 0.247 (multiplicity 1)
8 Ru 0.043 0.511 0.241 (multiplicity 1)
9 Ru 0.535 0.009 0.747 (multiplicity 1)
10 O 0.028 0.567 0.489 (multiplicity 1)
11 O 0.064 0.427 0.015 (multiplicity 1)
12 O 0.234 0.784 0.210 (multiplicity 1)
13 O 0.268 0.807 0.786 (multiplicity 1)
14 O 0.327 0.271 0.688 (multiplicity 1)
15 O 0.341 0.332 0.283 (multiplicity 1)
16 O 0.543 0.933 0.513 (multiplicity 1)
17 O 0.545 0.084 0.979 (multiplicity 1)
18 O 0.750 0.747 0.784 (multiplicity 1)
19 O 0.765 0.707 0.210 (multiplicity 1)
20 O 0.803 0.215 0.714 (multiplicity 1)
21 O 0.857 0.231 0.287 (multiplicity 1)


Number 1: DFT formation energy -1.78 eV per atom. Number 2: DFT formation energy -0.27 eV per atom. Number 3: DFT formation energy -2.54 eV per atom. Number 4: DFT formation energy -2.50 eV per atom. Number 5: DFT formation energy -0.55 eV per atom. Number 6: DFT formation energy 1.80 eV per atom. Number 7: DFT formation energy -0.84 eV per atom. Number 8: DFT formation energy -0.43 eV per atom. Number 9: DFT formation energy -2.72 eV per atom.